Record 1
! YAlAu | Materials Project | PBE-GGA | relaxed; values from VASP
&SYSTEM
  ibrav = 0, nat = 12, ntyp = 3
/
ATOMIC_SPECIES
Y 88.91 Y.upf
Al 26.98 Al.upf
Au 196.97 Au.upf
CELL_PARAMETERS angstrom
4.489 0.000 0.000
0.000 7.228 0.000
0.000 0.000 7.805
ATOMIC_POSITIONS crystal
Y 0.250 0.008 0.304
Y 0.250 0.508 0.196
Y 0.750 0.992 0.696
Y 0.750 0.492 0.804
Al 0.250 0.171 0.923
Al 0.250 0.671 0.577
Al 0.750 0.829 0.077
Al 0.750 0.329 0.423
Au 0.250 0.287 0.597
Au 0.250 0.787 0.903
Au 0.750 0.713 0.403
Au 0.750 0.213 0.097
! Symmetry: No. 62
! Total DFT energy (no corrections): -0.1950 Ha/atom
! Density: 8.20 g/cm3

Record 2
! Cu3Br4N4 | Materials Project | PBE-GGA | relaxed; values from VASP
&SYSTEM
  ibrav = 0, nat = 11, ntyp = 3
/
ATOMIC_SPECIES
Cu 63.55 Cu.upf
Br 79.90 Br.upf
N 14.01 N.upf
CELL_PARAMETERS angstrom
2.402 -3.924 -5.886
-3.103 -1.423 6.645
-5.976 3.096 -3.243
ATOMIC_POSITIONS crystal
Cu 0.250 0.750 0.500
Cu 0.750 0.250 0.500
Cu 0.000 0.000 0.000
Br 0.500 0.201 0.701
Br 0.500 0.799 0.299
Br 0.799 0.500 0.299
Br 0.201 0.500 0.701
N 0.132 0.132 0.264
N 0.868 0.868 0.736
N 0.868 0.132 0.000
N 0.132 0.868 0.000
! Symmetry: No. 139
! Total DFT energy (no corrections): -0.1181 Ha/atom
! Density: 3.57 g/cm3
! Magnetization: 5.013 μB/f.u.

Question: Which of these has the highest density?
Answer: YAlAu